{"formula": "BaO5", "functional": "PBE", "state": "relaxed", "total_magnetization_mub_per_cell": 0.00, "energy_ev_per_atom": -5.12, "cell": [[-2.385, -4.089, -1.885], [3.768, 0.548, -5.957], [7.599, -6.379, 4.219]], "species": ["O", "O", "O", "O", "O", "O", "O", "O", "O", "O", "O", "O", "O", "O", "O", "O", "O", "O", "O", "O", "Ba", "Ba", "Ba", "Ba"], "frac_coords": [[0.565, 0.231, 0.914], [0.028, 0.441, 0.750], [0.940, 0.428, 0.080], [0.065, 0.269, 0.414], [0.065, 0.269, 0.086], [0.435, 0.769, 0.414], [0.560, 0.928, 0.420], [0.935, 0.731, 0.586], [0.972, 0.559, 0.250], [0.560, 0.928, 0.080], [0.435, 0.769, 0.086], [0.940, 0.428, 0.420], [0.060, 0.572, 0.920], [0.565, 0.231, 0.586], [0.472, 0.941, 0.750], [0.060, 0.572, 0.580], [0.440, 0.072, 0.920], [0.935, 0.731, 0.914], [0.528, 0.059, 0.250], [0.440, 0.072, 0.580], [0.524, 0.563, 0.750], [0.476, 0.437, 0.250], [0.024, 0.937, 0.250], [0.976, 0.063, 0.750]]}